1.
Compound: Li3TaO4
Source: Materials Project
Functional: PBE-GGA
Structure: relaxed Values from VASP.

Summary:
space group = No. 15
excess energy over the best structure of this formula in the dataset = 0.00 kJ/mol of atoms
electronic total energy = -7.18 eV/atom
crystal system = monoclinic
energy relative to the elements = -2.851 eV per atom

Cell and atoms, written as Quantum ESPRESSO input:
```
&SYSTEM
  ibrav = 0, nat = 32, ntyp = 3
/
ATOMIC_SPECIES
Ta 180.95 Ta.upf
O 16.00 O.upf
Li 6.94 Li.upf
CELL_PARAMETERS angstrom
4.302 4.296 0.000
-4.302 4.296 0.000
0.000 4.260 8.378
ATOMIC_POSITIONS angstrom
Ta -3.090 4.149 1.046
Ta 3.090 8.703 7.333
Ta 3.090 6.279 5.235
Ta -3.090 6.573 3.144
O 3.359 6.444 3.254
O 1.073 4.172 3.079
O 1.192 6.411 5.174
O -3.359 6.409 5.125
O -1.192 4.281 0.985
O 1.073 6.550 1.110
O -1.073 6.303 7.268
O 1.192 8.572 7.393
O -1.192 6.441 3.204
O 3.359 4.279 0.935
O -1.061 4.137 5.349
O 1.061 2.007 1.160
O -1.061 10.845 7.219
O 1.061 8.715 3.029
O -3.359 8.574 7.443
O -1.073 8.680 5.299
Li -1.031 6.395 0.960
Li 1.031 8.525 5.149
Li 1.067 10.715 7.242
Li -1.067 8.585 3.053
Li -1.031 4.327 3.229
Li 0.886 6.253 3.141
Li -1.067 2.137 1.136
Li -0.886 8.384 7.330
Li -0.886 6.599 5.237
Li 1.031 6.457 7.418
Li 1.067 4.267 5.325
Li 0.886 4.469 1.048
```

2.
Compound: LiTaO3
Source: Materials Project
Functional: PBE-GGA
Structure: relaxed Values from VASP.

Summary:
space group = No. 63
electronic total energy = -8.29 eV/atom
crystal system = orthorhombic
energy relative to the elements = -2.979 eV per atom

Cell and atoms, written as Quantum ESPRESSO input:
```
&SYSTEM
  ibrav = 0, nat = 10, ntyp = 3
/
ATOMIC_SPECIES
O 16.00 O.upf
Li 6.94 Li.upf
Ta 180.95 Ta.upf
CELL_PARAMETERS angstrom
3.664 -0.807 -3.427
0.483 5.054 0.211
3.801 -0.538 4.190
ATOMIC_POSITIONS angstrom
O 5.273 3.185 -0.520
O 2.675 0.524 1.494
O 2.441 3.062 0.106
O 3.373 3.454 -2.615
O 5.506 0.647 0.868
O 0.775 0.793 -0.601
Li 2.074 2.123 -1.608
Li 3.974 1.854 0.487
Ta 6.262 -0.746 0.004
Ta 1.686 4.454 0.970
```

3.
Compound: LiTa6O15
Source: Materials Project
Functional: PBE-GGA
Structure: relaxed Values from VASP.

Summary:
space group = No. 26
electronic total energy = -9.41 eV/atom
crystal system = orthorhombic
energy relative to the elements = -3.181 eV per atom

Cell and atoms, written as Quantum ESPRESSO input:
```
&SYSTEM
  ibrav = 0, nat = 44, ntyp = 3
/
ATOMIC_SPECIES
O 16.00 O.upf
Ta 180.95 Ta.upf
Li 6.94 Li.upf
CELL_PARAMETERS angstrom
-1.440 2.294 2.786
-8.406 -2.496 -2.289
0.824 -12.923 11.066
ATOMIC_POSITIONS angstrom
O -0.365 -10.982 8.853
O -2.847 -1.190 -0.491
O -1.257 -4.823 3.321
O -3.626 -4.335 1.695
O -8.074 -11.017 7.607
O -1.379 -11.399 11.382
O -5.029 -11.538 9.610
O -7.092 -6.396 1.601
O -4.829 -14.307 9.283
O -2.377 -6.994 4.530
O -1.715 -6.571 7.233
O -0.488 -9.039 7.189
O -7.216 -4.453 -0.064
O 0.373 -6.346 5.417
O -2.722 -9.296 8.956
O -0.934 -2.312 4.130
O -4.901 -6.312 2.663
O -2.484 -12.178 8.742
O -7.332 -6.583 4.340
O -7.558 -15.285 8.678
O -3.801 -4.590 4.524
O -3.960 -11.018 7.025
O -1.559 -2.648 1.374
O -6.161 -10.598 5.542
O -5.081 -3.219 0.024
O -5.103 -8.445 4.315
O -2.699 -9.096 6.094
O -7.614 -1.739 0.206
O -6.302 -3.775 2.560
O -6.179 -12.869 7.402
Ta -6.853 -2.775 -1.257
Ta -0.889 -12.637 9.945
Ta -5.581 -4.970 1.207
Ta -1.998 -10.490 7.604
Ta -0.241 -3.297 2.590
Ta -1.048 -7.635 5.744
Ta -2.962 -5.746 3.200
Ta -7.349 -11.991 6.075
Ta -6.380 -7.683 3.029
Ta -3.295 -2.728 0.543
Ta -4.479 -9.663 5.641
Ta -4.422 -12.764 8.224
Li -8.002 -12.639 8.980
Li -0.800 -3.916 5.520
```

4.
Compound: LiTaO3
Source: Materials Project
Functional: PBE-GGA
Structure: relaxed Values from VASP.

Summary:
space group = No. 161
maximum piezoelectric response = 3.40 C/m²
electronic total energy = -8.44 eV/atom
crystal system = trigonal
energy relative to the elements = -3.127 eV per atom

Cell and atoms, written as Quantum ESPRESSO input:
```
&SYSTEM
  ibrav = 0, nat = 10, ntyp = 3
/
ATOMIC_SPECIES
Ta 180.95 Ta.upf
Li 6.94 Li.upf
O 16.00 O.upf
CELL_PARAMETERS angstrom
-3.834 -1.211 -3.310
-3.427 3.640 -1.459
0.312 1.947 -5.171
ATOMIC_POSITIONS angstrom
Ta -3.471 2.190 -4.976
Ta -7.257 2.431 -4.775
Li -2.002 0.984 -2.138
Li -5.477 3.172 -7.108
O -3.624 3.751 -6.356
O -3.725 3.431 -3.521
O -2.947 1.102 -6.681
O -1.448 2.713 -5.026
O -5.333 1.785 -5.271
O -3.060 0.643 -3.899
```

5.
Compound: LiTaO3
Source: Materials Project
Functional: PBE-GGA
Structure: relaxed Values from VASP.

Summary:
space group = No. 62
electronic total energy = -8.33 eV/atom
crystal system = orthorhombic
energy relative to the elements = -3.017 eV per atom

Cell and atoms, written as Quantum ESPRESSO input:
```
&SYSTEM
  ibrav = 0, nat = 20, ntyp = 3
/
ATOMIC_SPECIES
O 16.00 O.upf
Ta 180.95 Ta.upf
Li 6.94 Li.upf
CELL_PARAMETERS angstrom
4.750 0.000 0.000
0.000 5.117 0.000
0.000 0.000 8.835
ATOMIC_POSITIONS angstrom
O 1.373 3.617 5.353
O 3.748 4.059 0.936
O 1.432 4.502 2.209
O 3.377 1.500 0.936
O 3.748 4.059 3.482
O 0.943 1.943 2.209
O 1.002 1.058 5.353
O 3.318 0.616 6.626
O 1.373 3.617 7.899
O 3.377 1.500 3.482
O 1.002 1.058 7.899
O 3.807 3.174 6.626
Ta 2.098 2.297 6.626
Ta 2.652 2.820 2.209
Ta 0.277 4.856 6.626
Ta 4.473 0.261 2.209
Li 0.000 2.559 0.000
Li 2.375 0.000 0.000
Li 2.375 0.000 4.417
Li 0.000 2.559 4.417
```

6.
Compound: Li2Ta2O3
Source: Materials Project
Functional: PBE-GGA
Structure: relaxed Values from VASP.

Summary:
space group = No. 1
electronic total energy = -7.63 eV/atom
crystal system = triclinic
energy relative to the elements = -1.872 eV per atom

Cell and atoms, written as Quantum ESPRESSO input:
```
&SYSTEM
  ibrav = 0, nat = 14, ntyp = 3
/
ATOMIC_SPECIES
O 16.00 O.upf
Ta 180.95 Ta.upf
Li 6.94 Li.upf
CELL_PARAMETERS angstrom
4.875 0.000 0.000
1.933 4.582 0.000
1.006 0.671 8.472
ATOMIC_POSITIONS angstrom
O 5.334 2.244 2.886
O 5.591 2.399 7.588
O 2.266 2.820 5.304
O 4.343 0.862 5.137
O 3.472 0.169 1.465
O 2.309 2.700 0.611
Ta 2.098 1.483 2.121
Ta 3.705 2.400 4.069
Ta 7.573 5.158 8.342
Ta 6.012 4.021 6.483
Li 3.463 2.406 7.308
Li 6.120 4.169 3.264
Li 1.449 0.980 5.301
Li 4.267 3.101 1.027
```